No. 1
Sr5ZnN4 after structural relaxation, computed with GGA-PBE.

Computed properties:
calculated volume = 1883.8 Å³ per cell
total DFT energy (no corrections) = -4.635 eV/atom

a = 11.1047 Å, b = 15.1639 Å, c = 11.4352 Å
α = 90.00°, β = 101.96°, γ = 90.00°
Closest atoms and distances in Å follow each position.
Space group P2_1/m (No. 11)
Inequivalent atoms, fractional coordinates:
Sr: 0.0000 0.0000 0.0000 (multiplicity 2)  4 N 2.58-2.62
Sr: 0.0315 0.2500 0.0150 (multiplicity 2)  2 N 2.41-2.50
Sr: 0.0551 0.7500 0.6534 (multiplicity 2)  3 N 2.42-2.55
Sr: 0.1700 0.6286 0.2706 (multiplicity 4)  3 N 2.56-2.82
Sr: 0.2085 0.1319 0.8441 (multiplicity 4)  3 N 2.62-2.64
Sr: 0.2152 0.2500 0.5390 (multiplicity 2)  3 N 2.53-2.75
Sr: 0.2251 0.0057 0.5540 (multiplicity 4)  3 N 2.57-2.72
Sr: 0.2250 0.1142 0.2690 (multiplicity 4)  3 N 2.51-2.60
Sr: 0.2802 0.6316 0.8954 (multiplicity 4)  1 N 2.40
Sr: 0.4437 0.2500 0.2128 (multiplicity 2)  2 N 2.40-2.61
Sr: 0.4889 0.2500 0.7313 (multiplicity 2)  2 N 2.43
Sr: 0.4887 0.5138 0.2207 (multiplicity 4)  3 N 2.55-2.71
Sr: 0.4982 0.1166 0.4831 (multiplicity 4)  4 N 2.61-2.78
Zn: 0.0235 0.5413 0.7132 (multiplicity 4)  1 N 1.88
Zn: 0.3258 0.7500 0.6425 (multiplicity 2)  2 N 1.95
Zn: 0.4401 0.2500 0.9709 (multiplicity 2)  1 N 1.92
N: 0.0118 0.7500 0.2006 (multiplicity 2)  3 Sr 2.41-2.56
N: 0.0745 0.1115 0.4050 (multiplicity 4)  1 Zn 1.88
N: 0.1339 0.7500 0.8668 (multiplicity 2)  4 Sr 2.40-2.50
N: 0.2282 0.5382 0.1016 (multiplicity 4)  1 N 1.26
N: 0.2347 0.0179 0.0222 (multiplicity 4)  1 N 1.26
N: 0.2813 0.2500 0.0118 (multiplicity 2)  1 Zn 1.92
N: 0.3407 0.2500 0.3781 (multiplicity 2)  4 Sr 2.40-2.60
N: 0.3485 0.1256 0.6862 (multiplicity 4)  4 Sr 2.43-2.62
N: 0.3549 0.5088 0.3776 (multiplicity 4)  6 Sr 2.52-2.82
N: 0.3772 0.6314 0.6974 (multiplicity 4)  1 Zn 1.95

=====

No. 2
Sr5Zr2N6 after structural relaxation, computed with GGA-PBE.

Computed properties:
calculated volume = 1082.9 Å³ per cell
total DFT energy (no corrections) = -6.744 eV/atom

a = 11.2308 Å, b = 7.1730 Å, c = 13.8804 Å
α = 90.00°, β = 104.43°, γ = 90.00°
Closest atoms and distances in Å follow each position.
Space group C2/c (No. 15)
Inequivalent atoms, fractional coordinates:
Sr: 0.0000 0.1525 0.2500 (multiplicity 4)  4 N 2.68-2.79
Sr: 0.0231 0.2460 0.0112 (multiplicity 8)  3 N 2.54-2.71
Sr: 0.1560 0.3466 0.7231 (multiplicity 8)  4 N 2.57-2.77
Zr: 0.2263 0.4216 0.4348 (multiplicity 8)  4 N 2.07-2.13
N: 0.0484 0.4807 0.8804 (multiplicity 8)  1 Zr 2.07
N: 0.1428 0.0028 0.1414 (multiplicity 8)  1 Zr 2.10
N: 0.2071 0.1348 0.4103 (multiplicity 8)  2 Zr 2.09-2.13

=====

No. 3
Sr3ZrN3 after structural relaxation, computed with GGA-PBE.

Computed properties:
calculated volume = 315.7 Å³ per cell
total DFT energy (no corrections) = -6.294 eV/atom

a = 8.2279 Å, b = 8.2279 Å, c = 5.3856 Å
α = 90.00°, β = 90.00°, γ = 120.00°
Closest atoms and distances in Å follow each position.
Space group P6_3/m (No. 176)
Inequivalent atoms, fractional coordinates:
Sr: 0.1125 0.3390 0.2500 (multiplicity 6)  4 N 2.55-2.71
Zr: 0.3333 0.6667 0.7500 (multiplicity 2)  3 N 2.07
N: 0.1383 0.3821 0.7500 (multiplicity 6)  1 Zr 2.07

=====

No. 4
Ta4N3 after structural relaxation, computed with GGA-PBE.

Computed properties:
calculated volume = 167.4 Å³ per cell
total DFT energy (no corrections) = -11.277 eV/atom

a = 4.4064 Å, b = 4.4064 Å, c = 8.6212 Å
α = 90.00°, β = 90.00°, γ = 90.00°
Closest atoms and distances in Å follow each position.
Space group I4/mmm (No. 139)
Inequivalent atoms, fractional coordinates:
Ta: 0.0000 0.0000 0.2362 (multiplicity 4)  5 N 2.21-2.27
Ta: 0.0000 0.5000 0.0000 (multiplicity 4)  4 N 2.16-2.20
N: 0.0000 0.0000 0.5000 (multiplicity 2)  6 Ta 2.20-2.27
N: 0.0000 0.5000 0.2500 (multiplicity 4)  6 Ta 2.16-2.21

=====

No. 5
TaTeN after structural relaxation, computed with GGA-PBE.

Computed properties:
distance to the lowest polymorph of the same formula = 0 meV per atom
calculated volume = 123.0 Å³ per cell

a = 3.5733 Å, b = 3.5733 Å, c = 9.6321 Å
α = 90.00°, β = 90.00°, γ = 90.00°
Closest atoms and distances in Å follow each position.
Space group P4/nmm (No. 129, origin choice 2)
Inequivalent atoms, fractional coordinates:
Ta: 0.2500 0.2500 0.1128 (multiplicity 2)  4 N 2.09
Te: 0.2500 0.2500 0.7030 (multiplicity 2)  4 Ta 3.09, 4 N 3.37
N: 0.2500 0.7500 0.0000 (multiplicity 2)  4 Ta 2.09

=====

No. 6
TaTeN after structural relaxation, computed with GGA-PBE.

Computed properties:
distance to the lowest polymorph of the same formula = 94 meV per atom
calculated volume = 548.0 Å³ per cell

a = 13.9077 Å, b = 3.6653 Å, c = 11.5547 Å
α = 90.00°, β = 111.50°, γ = 90.00°
Closest atoms and distances in Å follow each position.
Space group C2/m (No. 12)
Inequivalent atoms, fractional coordinates:
Ta: 0.0998 0.0000 0.0946 (multiplicity 4)  3 N 2.00-2.14
Ta: 0.1834 0.0000 0.8987 (multiplicity 4)  3 N 1.96-2.02
Te: 0.1228 0.0000 0.6295 (multiplicity 4)  1 Te 2.83, 1 Ta 2.91
Te: 0.1599 0.5000 0.3001 (multiplicity 4)  1 Te 2.83, 2 Ta 2.87
N: 0.0428 0.0000 0.9002 (multiplicity 4)  3 Ta 1.96-2.09
N: 0.2432 0.5000 0.8944 (multiplicity 4)  4 Ta 2.02-2.23